(1)
First-principles (r2SCAN) data for crystalline GdFe5P3 at its relaxed geometry, as listed in the Materials Project database.

Output
electronic total energy = -590.293 eV/cell
calculated formation energy = -0.57 eV per atom
space group = No. 62

abc: 11.9902 3.6796 10.4514
angles: 90.00 90.00 90.00
Element x y z (fractional)
Gd1 0.2033 0.2500 0.0811
Gd2 0.2967 0.7500 0.5811
Gd3 0.7033 0.2500 0.4189
Gd4 0.7967 0.7500 0.9189
Fe1 0.0080 0.7500 0.0955
Fe2 0.0113 0.7500 0.7075
Fe3 0.0678 0.7500 0.4618
Fe4 0.1786 0.2500 0.7831
Fe5 0.2054 0.2500 0.3722
Fe6 0.2946 0.7500 0.8722
Fe7 0.3214 0.7500 0.2831
Fe8 0.4322 0.2500 0.9618
Fe9 0.4887 0.2500 0.2075
Fe10 0.4920 0.2500 0.5955
Fe11 0.5080 0.7500 0.4045
Fe12 0.5113 0.7500 0.7925
Fe13 0.5678 0.7500 0.0382
Fe14 0.6786 0.2500 0.7169
Fe15 0.7054 0.2500 0.1278
Fe16 0.7946 0.7500 0.6278
Fe17 0.8214 0.7500 0.2169
Fe18 0.9322 0.2500 0.5382
Fe19 0.9887 0.2500 0.2925
Fe20 0.9920 0.2500 0.9045
P1 0.0992 0.7500 0.9034
P2 0.1124 0.2500 0.5722
P3 0.1243 0.7500 0.2653
P4 0.3757 0.2500 0.7653
P5 0.3876 0.7500 0.0722
P6 0.4008 0.2500 0.4034
P7 0.5992 0.7500 0.5966
P8 0.6124 0.2500 0.9278
P9 0.6243 0.7500 0.2347
P10 0.8757 0.2500 0.7347
P11 0.8876 0.7500 0.4278
P12 0.9008 0.2500 0.0966

---

(2)
First-principles (r2SCAN) data for crystalline GdFe2Si2 at its relaxed geometry, as listed in the Materials Project database.

Output
electronic total energy = -92.149 eV/cell
calculated formation energy = -0.48 eV per atom
space group = No. 139

abc: 5.6662 5.6662 5.6662
angles: 139.73 139.73 58.26
Element x y z (fractional)
Gd1 0.0000 0.0000 0.0000
Fe1 0.2500 0.7500 0.5000
Fe2 0.7500 0.2500 0.5000
Si1 0.3697 0.3697 0.0000
Si2 0.6303 0.6303 0.0000

---

(3)
First-principles (r2SCAN) data for crystalline Fe13Ge3 at its relaxed geometry, as listed in the Materials Project database.

Output
electronic total energy = -229.564 eV/cell
calculated formation energy = -0.04 eV per atom
space group = No. 221

abc: 5.7652 5.7652 5.7652
angles: 90.00 90.00 90.00
Element x y z (fractional)
Fe1 0.0000 0.0000 0.0000
Fe2 0.0000 0.0000 0.5000
Fe3 0.0000 0.5000 0.0000
Fe4 0.2456 0.2456 0.2456
Fe5 0.2456 0.2456 0.7544
Fe6 0.2456 0.7544 0.2456
Fe7 0.2456 0.7544 0.7544
Fe8 0.5000 0.0000 0.0000
Fe9 0.5000 0.5000 0.5000
Fe10 0.7544 0.2456 0.2456
Fe11 0.7544 0.2456 0.7544
Fe12 0.7544 0.7544 0.2456
Fe13 0.7544 0.7544 0.7544
Ge1 0.0000 0.5000 0.5000
Ge2 0.5000 0.0000 0.5000
Ge3 0.5000 0.5000 0.0000

---

(4)
First-principles (r2SCAN) data for crystalline FeGe2 at its relaxed geometry, as listed in the Materials Project database.

Output
electronic total energy = -83.638 eV/cell
calculated formation energy = 0.11 eV per atom
space group = No. 140

abc: 4.8505 4.8505 4.8505
angles: 104.80 104.80 119.29
Element x y z (fractional)
Fe1 0.2500 0.2500 0.0000
Fe2 0.7500 0.7500 0.0000
Ge1 0.1549 0.6549 0.8098
Ge2 0.3451 0.1549 0.5000
Ge3 0.6549 0.8451 0.5000
Ge4 0.8451 0.3451 0.1902